UTc2Sn after structural relaxation. Source: the Materials Project database, functional meta-GGA r2SCAN.

a = 4.689 Å, b = 4.689 Å, c = 4.689 Å
α = 60.00°, β = 60.00°, γ = 60.00°
Element x y z (fractional)
U: 0.000 0.000 0.000
Tc: 0.250 0.250 0.250
Tc: 0.750 0.750 0.750
Sn: 0.500 0.500 0.500

Properties
Its space group is Fm-3m, No. 225. Its energy of formation is -0.127 eV/atom. For the total energy, the calculation gives -157.13 eV for the cell shown.

---

Tl9SnTe6 after structural relaxation. Source: the Materials Project database, functional meta-GGA r2SCAN.

a = 9.129 Å, b = 9.129 Å, c = 9.129 Å
α = 121.07°, β = 121.07°, γ = 88.16°
Element x y z (fractional)
Tl: 0.000 0.000 0.000
Tl: 0.011 0.805 0.501
Tl: 0.195 0.695 0.206
Tl: 0.305 0.511 0.499
Tl: 0.489 0.989 0.794
Tl: 0.511 0.011 0.206
Tl: 0.695 0.489 0.501
Tl: 0.805 0.305 0.794
Tl: 0.989 0.195 0.499
Sn: 0.500 0.500 0.000
Te: 0.175 0.651 0.825
Te: 0.262 0.262 0.000
Te: 0.349 0.175 0.524
Te: 0.651 0.825 0.476
Te: 0.738 0.738 0.000
Te: 0.825 0.349 0.175

Properties
Its space group is I4/m, No. 87. Its energy of formation is -0.354 eV/atom. For the total energy, the calculation gives -661.53 eV for the cell shown.

---

Q: Which formula does entry 1 have?
A: UTc2Sn

---

What did the first record say?
UTc2Sn after structural relaxation. Source: the Materials Project database, functional meta-GGA r2SCAN.

a = 4.689 Å, b = 4.689 Å, c = 4.689 Å
α = 60.00°, β = 60.00°, γ = 60.00°
Element x y z (fractional)
U: 0.000 0.000 0.000
Tc: 0.250 0.250 0.250
Tc: 0.750 0.750 0.750
Sn: 0.500 0.500 0.500

Properties
Its space group is Fm-3m, No. 225. Its energy of formation is -0.127 eV/atom. For the total energy, the calculation gives -157.13 eV for the cell shown.

---

Copy entry 1 word for word.
UTc2Sn after structural relaxation. Source: the Materials Project database, functional meta-GGA r2SCAN.

a = 4.689 Å, b = 4.689 Å, c = 4.689 Å
α = 60.00°, β = 60.00°, γ = 60.00°
Element x y z (fractional)
U: 0.000 0.000 0.000
Tc: 0.250 0.250 0.250
Tc: 0.750 0.750 0.750
Sn: 0.500 0.500 0.500

Properties
Its space group is Fm-3m, No. 225. Its energy of formation is -0.127 eV/atom. For the total energy, the calculation gives -157.13 eV for the cell shown.

---

Q: The lowest energy of formation belongs to which entry?
A: Tl9SnTe6